First-principles (GGA-PBE) data for a geometry-optimized GaHO2 structure, as listed in the Materials Project database.

Results
E_form: -1.899 eV per atom
MP2020-corrected energy: -95.654 eV per cell

Lattice parameters (Å, degrees): 9.9228 3.0167 4.5678 90.00 90.00 90.00
Space group Pnma (No. 62)
One atom of each set of equivalent atoms:
1 Ga 0.1450 0.2500 0.0513
2 H 0.0880 0.7500 0.5946
3 O 0.0552 0.7500 0.8044
4 O 0.1942 0.7500 0.3006

First-principles (GGA-PBE) data for a geometry-optimized ScSnPt structure, as listed in the Materials Project database.

Results
E_form: -0.994 eV per atom

Lattice parameters (Å, degrees): 7.4565 7.4565 3.7363 90.00 90.00 120.00
Space group P-62m (No. 189)
One atom of each set of equivalent atoms:
1 Sc 0.0000 0.6022 0.0000
2 Sn 0.0000 0.2686 0.5000
3 Pt 0.0000 0.0000 0.0000
4 Pt 0.3333 0.6667 0.5000

Density? In order: 4.99; 9.93 g/cm³.
Electronic total energy? In order: -5.635; -6.465 eV/atom.